LiVCrO4 GGA+U optimized geometry; DFT formation energy = -55.29 kcal/mol of atoms; crystal system = triclinic
1.0
5.267 0.000 0.000
-0.184 5.914 0.000
-2.506 -1.276 7.266
O V Li Cr
12 3 3 3
direct
0.543 0.467 0.843
0.100 0.719 0.816
0.231 0.628 0.513
0.772 0.373 0.491
0.441 0.052 0.157
0.464 0.519 0.162
0.561 0.959 0.838
0.202 0.134 0.508
0.893 0.278 0.179
0.793 0.867 0.492
0.864 0.814 0.169
0.136 0.184 0.834
0.192 0.920 0.661
0.809 0.077 0.340
0.517 0.258 0.991
0.671 0.663 0.668
0.331 0.340 0.329
0.001 0.997 0.002
0.846 0.582 0.328
0.485 0.753 0.006
0.149 0.417 0.672